Record 1
Density functional theory data (GGA-PBE) for YMg6Nb after structural relaxation.

Values from the calculation:
total DFT energy (no corrections)	-3.12	eV per atom

a b c (Å): 5.0980 6.4455 11.2529
angles (deg): 90.00 90.00 90.00
Fractional coordinates of all 16 atoms:
Nb 0.5000 0.0000 0.6682
Nb 0.5000 0.5000 0.1682
Mg 0.5000 0.7536 0.4193
Mg 0.5000 0.7464 0.9193
Mg 0.0000 0.7616 0.5834
Mg 0.5000 0.2536 0.9193
Mg 0.5000 0.2464 0.4193
Mg 0.0000 0.7384 0.0834
Mg 0.5000 0.5000 0.6651
Mg 0.5000 0.0000 0.1651
Mg 0.0000 0.0000 0.3362
Mg 0.0000 0.2616 0.0834
Mg 0.0000 0.2384 0.5834
Mg 0.0000 0.5000 0.8362
Y 0.0000 0.5000 0.3251
Y 0.0000 0.0000 0.8251


Record 2
Density functional theory data (GGA-PBE) for MgAl after structural relaxation.

Values from the calculation:
total DFT energy (no corrections)	-2.23	eV per atom
space group	Fm-3m, No. 225

a b c (Å): 4.0670 4.0670 4.0670
angles (deg): 60.00 60.00 60.00
Fractional coordinates of all 2 atoms:
Mg 0.0000 0.0000 0.0000
Al 0.5000 0.5000 0.5000


Record 3
Density functional theory data (GGA-PBE) for YTh after structural relaxation.

Values from the calculation:
total DFT energy (no corrections)	-6.77	eV per atom
space group	Cmmm, No. 65

a b c (Å): 3.4605 3.4605 5.7158
angles (deg): 90.00 90.00 109.10
Fractional coordinates of all 2 atoms:
Y 0.0000 0.0000 0.0000
Th 0.5000 0.5000 0.5000


| no. | magnetic moment (μB per formula unit) |
| --- | --- |
| 1 | 1.22 |
| 2 | 0.00 |
| 3 | 0.11 |